(1)
# SmH6C2SNO9 | the Materials Project database | PBE-GGA | relaxed
data_SmH6C2SNO9
_cell_length_a 6.672
_cell_length_b 8.804
_cell_length_c 15.268
_cell_angle_alpha 90.00
_cell_angle_beta 112.55
_cell_angle_gamma 90.00
_symmetry_space_group_name_H-M 'P 1'
_symmetry_Int_Tables_number 1
loop_
_symmetry_equiv_pos_as_xyz
'x,y,z'
loop_
_atom_site_label
_atom_site_type_symbol
_atom_site_fract_x
_atom_site_fract_y
_atom_site_fract_z
_atom_site_occupancy
Sm1 Sm 0.162 0.237 0.409 1
Sm2 Sm 0.162 0.263 0.909 1
Sm3 Sm 0.838 0.737 0.091 1
Sm4 Sm 0.838 0.763 0.591 1
H1 H 0.209 0.024 0.068 1
H2 H 0.209 0.476 0.568 1
H3 H 0.313 0.195 0.657 1
H4 H 0.313 0.305 0.157 1
H5 H 0.421 0.704 0.831 1
H6 H 0.421 0.796 0.331 1
H7 H 0.445 0.026 0.070 1
H8 H 0.445 0.474 0.570 1
H9 H 0.470 0.040 0.683 1
H10 H 0.470 0.460 0.183 1
H11 H 0.493 0.674 0.736 1
H12 H 0.493 0.826 0.236 1
H13 H 0.507 0.174 0.764 1
H14 H 0.507 0.326 0.264 1
H15 H 0.530 0.540 0.817 1
H16 H 0.530 0.960 0.317 1
H17 H 0.555 0.526 0.430 1
H18 H 0.555 0.974 0.930 1
H19 H 0.579 0.204 0.669 1
H20 H 0.579 0.296 0.169 1
H21 H 0.687 0.695 0.843 1
H22 H 0.687 0.805 0.343 1
H23 H 0.791 0.524 0.432 1
H24 H 0.791 0.976 0.932 1
C1 C 0.085 0.030 0.221 1
C2 C 0.085 0.470 0.721 1
C3 C 0.137 0.526 0.269 1
C4 C 0.137 0.974 0.769 1
C5 C 0.863 0.026 0.231 1
C6 C 0.863 0.474 0.731 1
C7 C 0.915 0.530 0.279 1
C8 C 0.915 0.970 0.779 1
S1 S 0.241 0.666 0.977 1
S2 S 0.241 0.834 0.477 1
S3 S 0.759 0.166 0.523 1
S4 S 0.759 0.334 0.023 1
N1 N 0.467 0.155 0.693 1
N2 N 0.467 0.345 0.193 1
N3 N 0.533 0.655 0.807 1
N4 N 0.533 0.845 0.307 1
O1 O 0.067 0.735 0.004 1
O2 O 0.067 0.765 0.504 1
O3 O 0.106 0.556 0.658 1
O4 O 0.106 0.944 0.158 1
O5 O 0.156 0.605 0.203 1
O6 O 0.156 0.895 0.703 1
O7 O 0.198 0.700 0.877 1
O8 O 0.198 0.800 0.377 1
O9 O 0.229 0.117 0.277 1
O10 O 0.229 0.383 0.777 1
O11 O 0.244 0.003 0.492 1
O12 O 0.244 0.497 0.992 1
O13 O 0.282 0.058 0.827 1
O14 O 0.282 0.442 0.327 1
O15 O 0.305 0.079 0.043 1
O16 O 0.305 0.421 0.543 1
O17 O 0.454 0.730 0.041 1
O18 O 0.454 0.770 0.541 1
O19 O 0.546 0.230 0.459 1
O20 O 0.546 0.270 0.959 1
O21 O 0.695 0.579 0.457 1
O22 O 0.695 0.921 0.957 1
O23 O 0.718 0.558 0.673 1
O24 O 0.718 0.942 0.173 1
O25 O 0.756 0.503 0.008 1
O26 O 0.756 0.997 0.508 1
O27 O 0.771 0.617 0.223 1
O28 O 0.771 0.883 0.723 1
O29 O 0.802 0.200 0.623 1
O30 O 0.802 0.300 0.123 1
O31 O 0.844 0.105 0.297 1
O32 O 0.844 0.395 0.797 1
O33 O 0.894 0.056 0.842 1
O34 O 0.894 0.444 0.342 1
O35 O 0.933 0.235 0.496 1
O36 O 0.933 0.265 0.996 1
# - V (Å³/f.u.) = 207.06


(2)
# ThH20C4S2N8O15 | the Materials Project database | PBE-GGA | relaxed
data_ThH20C4S2N8O15
_cell_length_a 9.086
_cell_length_b 9.086
_cell_length_c 32.362
_cell_angle_alpha 93.39
_cell_angle_beta 93.39
_cell_angle_gamma 54.06
_symmetry_space_group_name_H-M 'P 1'
_symmetry_Int_Tables_number 1
loop_
_symmetry_equiv_pos_as_xyz
'x,y,z'
loop_
_atom_site_label
_atom_site_type_symbol
_atom_site_fract_x
_atom_site_fract_y
_atom_site_fract_z
_atom_site_occupancy
Th1 Th 0.156 0.314 0.121 1
Th2 Th 0.314 0.156 0.621 1
Th3 Th 0.686 0.844 0.379 1
Th4 Th 0.844 0.686 0.879 1
H1 H 0.011 0.371 0.721 1
H2 H 0.023 0.627 0.529 1
H3 H 0.026 0.957 0.428 1
H4 H 0.032 0.825 0.048 1
H5 H 0.043 0.974 0.072 1
H6 H 0.044 0.694 0.653 1
H7 H 0.070 0.129 0.384 1
H8 H 0.129 0.070 0.884 1
H9 H 0.131 0.369 0.797 1
H10 H 0.132 0.289 0.292 1
H11 H 0.175 0.968 0.452 1
H12 H 0.182 0.533 0.393 1
H13 H 0.183 0.612 0.266 1
H14 H 0.203 0.792 0.135 1
H15 H 0.206 0.591 0.780 1
H16 H 0.208 0.797 0.365 1
H17 H 0.212 0.229 0.465 1
H18 H 0.214 0.587 0.081 1
H19 H 0.229 0.212 0.965 1
H20 H 0.274 0.695 0.183 1
H21 H 0.289 0.132 0.792 1
H22 H 0.305 0.726 0.317 1
H23 H 0.306 0.956 0.847 1
H24 H 0.327 0.620 0.902 1
H25 H 0.334 0.343 0.423 1
H26 H 0.343 0.334 0.923 1
H27 H 0.366 0.399 0.059 1
H28 H 0.369 0.131 0.297 1
H29 H 0.369 0.548 0.635 1
H30 H 0.371 0.011 0.221 1
H31 H 0.373 0.977 0.971 1
H32 H 0.380 0.673 0.598 1
H33 H 0.388 0.817 0.234 1
H34 H 0.393 0.596 0.793 1
H35 H 0.399 0.366 0.559 1
H36 H 0.404 0.607 0.707 1
H37 H 0.409 0.794 0.720 1
H38 H 0.413 0.786 0.419 1
H39 H 0.452 0.631 0.865 1
H40 H 0.467 0.818 0.107 1
H41 H 0.533 0.182 0.893 1
H42 H 0.548 0.369 0.135 1
H43 H 0.587 0.214 0.581 1
H44 H 0.591 0.206 0.280 1
H45 H 0.596 0.393 0.293 1
H46 H 0.601 0.634 0.441 1
H47 H 0.607 0.404 0.207 1
H48 H 0.612 0.183 0.766 1
H49 H 0.620 0.327 0.402 1
H50 H 0.627 0.023 0.029 1
H51 H 0.629 0.989 0.779 1
H52 H 0.631 0.452 0.365 1
H53 H 0.631 0.869 0.703 1
H54 H 0.634 0.601 0.941 1
H55 H 0.657 0.666 0.077 1
H56 H 0.666 0.657 0.577 1
H57 H 0.673 0.380 0.098 1
H58 H 0.694 0.044 0.153 1
H59 H 0.695 0.274 0.683 1
H60 H 0.711 0.868 0.208 1
H61 H 0.726 0.305 0.817 1
H62 H 0.771 0.788 0.035 1
H63 H 0.786 0.413 0.919 1
H64 H 0.788 0.771 0.535 1
H65 H 0.792 0.203 0.635 1
H66 H 0.794 0.409 0.220 1
H67 H 0.797 0.208 0.865 1
H68 H 0.817 0.388 0.734 1
H69 H 0.818 0.467 0.607 1
H70 H 0.825 0.032 0.548 1
H71 H 0.868 0.711 0.708 1
H72 H 0.869 0.631 0.203 1
H73 H 0.871 0.930 0.116 1
H74 H 0.930 0.871 0.616 1
H75 H 0.956 0.306 0.347 1
H76 H 0.957 0.026 0.928 1
H77 H 0.968 0.175 0.952 1
H78 H 0.974 0.043 0.572 1
H79 H 0.977 0.373 0.471 1
H80 H 0.989 0.629 0.279 1
C1 C 0.063 0.463 0.430 1
C2 C 0.085 0.718 0.325 1
C3 C 0.120 0.232 0.842 1
C4 C 0.232 0.120 0.342 1
C5 C 0.248 0.612 0.842 1
C6 C 0.282 0.915 0.175 1
C7 C 0.388 0.752 0.658 1
C8 C 0.463 0.063 0.930 1
C9 C 0.537 0.937 0.070 1
C10 C 0.612 0.248 0.342 1
C11 C 0.718 0.085 0.825 1
C12 C 0.752 0.388 0.158 1
C13 C 0.768 0.880 0.658 1
C14 C 0.880 0.768 0.158 1
C15 C 0.915 0.282 0.675 1
C16 C 0.937 0.537 0.570 1
S1 S 0.074 0.672 0.959 1
S2 S 0.306 0.367 0.705 1
S3 S 0.328 0.926 0.541 1
S4 S 0.367 0.306 0.205 1
S5 S 0.633 0.694 0.795 1
S6 S 0.672 0.074 0.459 1
S7 S 0.694 0.633 0.295 1
S8 S 0.926 0.328 0.041 1
N1 N 0.070 0.187 0.357 1
N2 N 0.082 0.657 0.286 1
N3 N 0.089 0.347 0.458 1
N4 N 0.187 0.070 0.857 1
N5 N 0.192 0.244 0.808 1
N6 N 0.206 0.437 0.412 1
N7 N 0.212 0.745 0.336 1
N8 N 0.244 0.192 0.308 1
N9 N 0.255 0.788 0.164 1
N10 N 0.278 0.613 0.802 1
N11 N 0.343 0.918 0.214 1
N12 N 0.347 0.089 0.958 1
N13 N 0.353 0.619 0.872 1
N14 N 0.381 0.647 0.628 1
N15 N 0.387 0.722 0.698 1
N16 N 0.437 0.206 0.912 1
N17 N 0.563 0.794 0.088 1
N18 N 0.613 0.278 0.302 1
N19 N 0.619 0.353 0.372 1
N20 N 0.647 0.381 0.128 1
N21 N 0.653 0.911 0.042 1
N22 N 0.657 0.082 0.786 1
N23 N 0.722 0.387 0.198 1
N24 N 0.745 0.212 0.836 1
N25 N 0.756 0.808 0.692 1
N26 N 0.788 0.255 0.664 1
N27 N 0.794 0.563 0.588 1
N28 N 0.808 0.756 0.192 1
N29 N 0.813 0.930 0.143 1
N30 N 0.911 0.653 0.542 1
N31 N 0.918 0.343 0.714 1
N32 N 0.930 0.813 0.643 1
O1 O 0.005 0.728 0.001 1
O2 O 0.014 0.624 0.140 1
O3 O 0.029 0.253 0.649 1
O4 O 0.038 0.870 0.076 1
O5 O 0.040 0.173 0.070 1
O6 O 0.049 0.530 0.941 1
O7 O 0.099 0.404 0.580 1
O8 O 0.118 0.603 0.851 1
O9 O 0.130 0.962 0.424 1
O10 O 0.147 0.490 0.731 1
O11 O 0.173 0.040 0.570 1
O12 O 0.181 0.348 0.201 1
O13 O 0.253 0.029 0.149 1
O14 O 0.258 0.433 0.660 1
O15 O 0.269 0.598 0.957 1
O16 O 0.272 0.995 0.499 1
O17 O 0.290 0.455 0.084 1
O18 O 0.292 0.527 0.519 1
O19 O 0.348 0.181 0.701 1
O20 O 0.362 0.467 0.220 1
O21 O 0.376 0.986 0.360 1
O22 O 0.397 0.882 0.649 1
O23 O 0.402 0.731 0.543 1
O24 O 0.404 0.099 0.080 1
O25 O 0.433 0.258 0.160 1
O26 O 0.455 0.290 0.584 1
O27 O 0.467 0.362 0.720 1
O28 O 0.470 0.951 0.559 1
O29 O 0.473 0.708 0.981 1
O30 O 0.490 0.147 0.231 1
O31 O 0.510 0.853 0.769 1
O32 O 0.527 0.292 0.019 1
O33 O 0.530 0.049 0.441 1
O34 O 0.533 0.638 0.280 1
O35 O 0.545 0.710 0.416 1
O36 O 0.567 0.742 0.840 1
O37 O 0.596 0.901 0.920 1
O38 O 0.598 0.269 0.457 1
O39 O 0.603 0.118 0.351 1
O40 O 0.624 0.014 0.640 1
O41 O 0.638 0.533 0.780 1
O42 O 0.652 0.819 0.299 1
O43 O 0.708 0.473 0.481 1
O44 O 0.710 0.545 0.916 1
O45 O 0.728 0.005 0.501 1
O46 O 0.731 0.402 0.043 1
O47 O 0.742 0.567 0.340 1
O48 O 0.747 0.971 0.851 1
O49 O 0.819 0.652 0.799 1
O50 O 0.827 0.960 0.430 1
O51 O 0.853 0.510 0.269 1
O52 O 0.870 0.038 0.576 1
O53 O 0.882 0.397 0.149 1
O54 O 0.901 0.596 0.420 1
O55 O 0.951 0.470 0.059 1
O56 O 0.960 0.827 0.930 1
O57 O 0.962 0.130 0.924 1
O58 O 0.971 0.747 0.351 1
O59 O 0.986 0.376 0.860 1
O60 O 0.995 0.272 0.999 1
# - V (Å³/f.u.) = 539.62


(3)
# U6H24C8S7N2O42 | the Materials Project database | PBE-GGA | relaxed
data_U6H24C8S7N2O42
_cell_length_a 10.826
_cell_length_b 10.826
_cell_length_c 23.170
_cell_angle_alpha 90.00
_cell_angle_beta 90.00
_cell_angle_gamma 121.30
_symmetry_space_group_name_H-M 'P 1'
_symmetry_Int_Tables_number 1
loop_
_symmetry_equiv_pos_as_xyz
'x,y,z'
loop_
_atom_site_label
_atom_site_type_symbol
_atom_site_fract_x
_atom_site_fract_y
_atom_site_fract_z
_atom_site_occupancy
U1 U 0.006 0.518 0.747 1
U2 U 0.089 0.148 0.885 1
U3 U 0.148 0.089 0.115 1
U4 U 0.203 0.712 0.976 1
U5 U 0.288 0.797 0.524 1
U6 U 0.482 0.994 0.753 1
U7 U 0.518 0.006 0.253 1
U8 U 0.712 0.203 0.024 1
U9 U 0.797 0.288 0.476 1
U10 U 0.852 0.911 0.615 1
U11 U 0.911 0.852 0.385 1
U12 U 0.994 0.482 0.247 1
H1 H 0.162 0.368 0.389 1
H2 H 0.195 0.285 0.655 1
H3 H 0.216 0.288 0.305 1
H4 H 0.230 0.282 0.435 1
H5 H 0.282 0.230 0.565 1
H6 H 0.285 0.195 0.345 1
H7 H 0.288 0.216 0.695 1
H8 H 0.298 0.473 0.442 1
H9 H 0.318 0.464 0.581 1
H10 H 0.321 0.393 0.710 1
H11 H 0.332 0.549 0.314 1
H12 H 0.361 0.550 0.126 1
H13 H 0.368 0.162 0.611 1
H14 H 0.393 0.321 0.290 1
H15 H 0.411 0.485 0.187 1
H16 H 0.414 0.550 0.868 1
H17 H 0.450 0.586 0.632 1
H18 H 0.450 0.639 0.374 1
H19 H 0.451 0.668 0.186 1
H20 H 0.462 0.492 0.931 1
H21 H 0.464 0.318 0.419 1
H22 H 0.473 0.298 0.558 1
H23 H 0.485 0.411 0.813 1
H24 H 0.492 0.462 0.069 1
H25 H 0.508 0.538 0.569 1
H26 H 0.515 0.589 0.313 1
H27 H 0.527 0.702 0.058 1
H28 H 0.536 0.682 0.919 1
H29 H 0.538 0.508 0.431 1
H30 H 0.549 0.332 0.686 1
H31 H 0.550 0.361 0.874 1
H32 H 0.550 0.414 0.132 1
H33 H 0.586 0.450 0.368 1
H34 H 0.589 0.515 0.687 1
H35 H 0.607 0.679 0.790 1
H36 H 0.632 0.838 0.111 1
H37 H 0.639 0.450 0.626 1
H38 H 0.668 0.451 0.814 1
H39 H 0.679 0.607 0.210 1
H40 H 0.682 0.536 0.081 1
H41 H 0.702 0.527 0.942 1
H42 H 0.712 0.784 0.195 1
H43 H 0.715 0.805 0.845 1
H44 H 0.718 0.770 0.065 1
H45 H 0.770 0.718 0.935 1
H46 H 0.784 0.712 0.805 1
H47 H 0.805 0.715 0.155 1
H48 H 0.838 0.632 0.889 1
C1 C 0.257 0.382 0.412 1
C2 C 0.297 0.313 0.676 1
C3 C 0.313 0.297 0.324 1
C4 C 0.382 0.257 0.588 1
C5 C 0.420 0.558 0.340 1
C6 C 0.423 0.499 0.601 1
C7 C 0.442 0.580 0.160 1
C8 C 0.499 0.423 0.399 1
C9 C 0.501 0.577 0.899 1
C10 C 0.558 0.420 0.660 1
C11 C 0.577 0.501 0.101 1
C12 C 0.580 0.442 0.840 1
C13 C 0.618 0.743 0.088 1
C14 C 0.687 0.703 0.824 1
C15 C 0.703 0.687 0.176 1
C16 C 0.743 0.618 0.912 1
S1 S 0.072 0.619 0.395 1
S2 S 0.114 0.886 0.250 1
S3 S 0.122 0.351 0.020 1
S4 S 0.141 0.843 0.837 1
S5 S 0.157 0.859 0.663 1
S6 S 0.351 0.122 0.980 1
S7 S 0.381 0.928 0.105 1
S8 S 0.619 0.072 0.605 1
S9 S 0.649 0.878 0.480 1
S10 S 0.843 0.141 0.163 1
S11 S 0.859 0.157 0.337 1
S12 S 0.878 0.649 0.520 1
S13 S 0.886 0.114 0.750 1
S14 S 0.928 0.381 0.895 1
N1 N 0.373 0.415 0.368 1
N2 N 0.415 0.373 0.632 1
N3 N 0.585 0.627 0.132 1
N4 N 0.627 0.585 0.868 1
O1 O 0.001 0.043 0.572 1
O2 O 0.032 0.429 0.660 1
O3 O 0.033 0.880 0.666 1
O4 O 0.035 0.703 0.520 1
O5 O 0.038 0.729 0.796 1
O6 O 0.043 0.001 0.428 1
O7 O 0.043 0.672 0.015 1
O8 O 0.044 0.726 0.249 1
O9 O 0.059 0.747 0.387 1
O10 O 0.066 0.504 0.918 1
O11 O 0.066 0.929 0.198 1
O12 O 0.071 0.934 0.302 1
O13 O 0.106 0.576 0.339 1
O14 O 0.111 0.708 0.680 1
O15 O 0.111 0.781 0.896 1
O16 O 0.120 0.967 0.834 1
O17 O 0.159 0.295 0.071 1
O18 O 0.160 0.303 0.966 1
O19 O 0.172 0.529 0.223 1
O20 O 0.182 0.561 0.772 1
O21 O 0.193 0.654 0.435 1
O22 O 0.208 0.512 0.022 1
O23 O 0.217 0.292 0.839 1
O24 O 0.219 0.889 0.604 1
O25 O 0.249 0.641 0.565 1
O26 O 0.253 0.941 0.113 1
O27 O 0.271 0.962 0.704 1
O28 O 0.274 0.956 0.251 1
O29 O 0.292 0.217 0.161 1
O30 O 0.292 0.889 0.820 1
O31 O 0.295 0.159 0.929 1
O32 O 0.297 0.965 0.980 1
O33 O 0.303 0.160 0.034 1
O34 O 0.328 0.957 0.485 1
O35 O 0.346 0.807 0.065 1
O36 O 0.359 0.751 0.935 1
O37 O 0.424 0.894 0.161 1
O38 O 0.429 0.032 0.340 1
O39 O 0.439 0.818 0.728 1
O40 O 0.471 0.828 0.277 1
O41 O 0.488 0.792 0.478 1
O42 O 0.496 0.934 0.582 1
O43 O 0.504 0.066 0.082 1
O44 O 0.512 0.208 0.978 1
O45 O 0.529 0.172 0.777 1
O46 O 0.561 0.182 0.228 1
O47 O 0.571 0.968 0.840 1
O48 O 0.576 0.106 0.661 1
O49 O 0.641 0.249 0.435 1
O50 O 0.654 0.193 0.565 1
O51 O 0.672 0.043 0.985 1
O52 O 0.697 0.840 0.534 1
O53 O 0.703 0.035 0.480 1
O54 O 0.705 0.841 0.429 1
O55 O 0.708 0.111 0.320 1
O56 O 0.708 0.783 0.661 1
O57 O 0.726 0.044 0.751 1
O58 O 0.729 0.038 0.204 1
O59 O 0.747 0.059 0.613 1
O60 O 0.751 0.359 0.065 1
O61 O 0.781 0.111 0.104 1
O62 O 0.783 0.708 0.339 1
O63 O 0.792 0.488 0.522 1
O64 O 0.807 0.346 0.935 1
O65 O 0.818 0.439 0.272 1
O66 O 0.828 0.471 0.723 1
O67 O 0.840 0.697 0.466 1
O68 O 0.841 0.705 0.571 1
O69 O 0.880 0.033 0.334 1
O70 O 0.889 0.219 0.396 1
O71 O 0.889 0.292 0.180 1
O72 O 0.894 0.424 0.839 1
O73 O 0.929 0.066 0.802 1
O74 O 0.934 0.071 0.698 1
O75 O 0.934 0.496 0.418 1
O76 O 0.941 0.253 0.887 1
O77 O 0.956 0.274 0.749 1
O78 O 0.957 0.328 0.515 1
O79 O 0.957 0.999 0.928 1
O80 O 0.962 0.271 0.296 1
O81 O 0.965 0.297 0.020 1
O82 O 0.967 0.120 0.166 1
O83 O 0.968 0.571 0.160 1
O84 O 0.999 0.957 0.072 1
# - V (Å³/f.u.) = 1160.16


| no. | calculated total energy (eV per cell) | E_form (eV/atom) |
| --- | --- | --- |
| 1 | -512.46 | -1.688 |
| 2 | -1221.32 | -1.085 |
| 3 | -1183.59 | -1.620 |